No. 1
This record from Materials Project describes a relaxed structure of Na3Si17. The functional is PBE-GGA.

Values from the calculation:
Crystal system: cubic
Electronic total energy: -4.81 eV/atom
Theoretical density: 2.2 g/cm3
Space-group type: Fd-3m
Energy of formation from the pure elements: 0.06 eV per atom

Cell: 10.4654 10.4654 10.4654 Å, 60.00 60.00 60.00°
Element x y z (fractional)
Si1 0.3893 0.9962 0.6183
Si2 0.8607 0.6317 0.2538
Si3 0.6183 0.3893 0.9962
Si4 0.2538 0.2538 0.8607
Si5 0.2538 0.6317 0.2538
Si6 0.4068 0.4068 0.7795
Si7 0.6317 0.8607 0.2538
Na1 0.2500 0.2500 0.2500
Si8 0.6317 0.2538 0.8607
Na2 0.6250 0.1250 0.6250
Si9 0.8607 0.2538 0.2538
Si10 0.8432 0.8432 0.4705
Si11 0.6183 0.9962 0.9962
Na3 0.6250 0.6250 0.1250
Si12 0.9962 0.9962 0.6183
Si13 0.8607 0.2538 0.6317
Na4 0.6250 0.6250 0.6250
Si14 0.3893 0.9962 0.9962
Si15 0.5000 0.5000 0.5000
Si16 0.2538 0.8607 0.6317
Si17 0.9962 0.9962 0.3893
Si18 0.4068 0.7795 0.4068
Si19 0.2538 0.6317 0.8607
Si20 0.4068 0.4068 0.4068
Si21 0.9962 0.3893 0.9962
Si22 0.6317 0.2538 0.2538
Si23 0.9962 0.6183 0.3893
Si24 0.4705 0.8432 0.8432
Si25 0.2538 0.2538 0.6317
Si26 0.2538 0.8607 0.2538
Na5 0.1250 0.6250 0.6250
Si27 0.3893 0.6183 0.9962
Na6 0.0000 0.0000 0.0000
Si28 0.9962 0.6183 0.9962
Si29 0.6183 0.9962 0.3893
Si30 0.8432 0.4705 0.8432
Si31 0.9962 0.3893 0.6183
Si32 0.7795 0.4068 0.4068
Si33 0.8432 0.8432 0.8432
Si34 0.7500 0.7500 0.7500

***

No. 2
This record from Materials Project describes a relaxed structure of Na18Mg4Nb8Si15S3O72. The functional is PBE-GGA.

Values from the calculation:
M_tot: 0.00 μB per formula unit
Crystal system: triclinic
Electronic total energy: -7.06 eV/atom
Theoretical density: 3.0 g/cm3
Space-group type: P1
Energy of formation from the pure elements: -2.80 eV per atom

Cell: 9.0913 9.0776 22.5902 Å, 89.91 90.14 120.09°
Element x y z (fractional)
O1 0.9756 0.7954 0.8109
O2 0.0168 0.8290 0.4137
O3 0.5359 0.6955 0.2542
Mg1 0.6713 0.3286 0.6834
O4 0.5093 0.3670 0.4231
Nb1 0.9917 0.9866 0.6453
Mg2 0.9903 0.9928 0.8532
Si1 0.9601 0.3334 0.5857
O5 0.6919 0.5408 0.2451
O6 0.6871 0.1679 0.7445
O7 0.3126 0.4799 0.4716
Si2 0.6581 0.6147 0.5867
O8 0.8557 0.4875 0.4227
Si3 0.6219 0.6645 0.9167
O9 0.8231 0.0317 0.8106
Si4 0.3756 0.0450 0.5856
O10 0.8325 0.0117 0.0927
Na1 0.3197 0.9745 0.0871
O11 0.1772 0.2028 0.6984
O12 0.1356 0.5034 0.8576
O13 0.5063 0.6601 0.5753
O14 0.9722 0.1586 0.5903
Si5 0.7089 0.0052 0.7532
O15 0.8100 0.9776 0.4100
Nb2 0.3365 0.6828 0.8136
Nb3 0.6699 0.3336 0.9819
Si6 0.3339 0.9637 0.9187
O16 0.3530 0.5005 0.0732
Mg3 0.0078 0.0020 0.3529
Na2 0.6545 0.3240 0.3230
S1 0.7090 0.7093 0.2512
O17 0.3697 0.8672 0.8613
Na3 0.6637 0.6896 0.0869
Na4 0.7114 0.6782 0.4136
O18 0.3088 0.8393 0.9745
O19 0.8579 0.3670 0.9228
O20 0.1630 0.4598 0.2540
O21 0.1698 0.9797 0.1942
O22 0.8071 0.8314 0.9162
Nb4 0.6633 0.3301 0.4814
O23 0.8357 0.8103 0.5887
O24 0.5045 0.1231 0.6386
O25 0.8345 0.2998 0.5260
O26 0.3704 0.5088 0.3589
O27 0.5239 0.8158 0.7554
Si7 0.9971 0.7053 0.7538
Si8 0.3340 0.3779 0.4146
O28 0.8068 0.9714 0.6936
O29 0.6979 0.1627 0.0243
O30 0.4619 0.3156 0.7444
Si9 0.9552 0.6148 0.0877
O31 0.1718 0.6837 0.7554
O32 0.5314 0.8390 0.4744
Nb5 0.3293 0.6627 0.0204
O33 0.7920 0.8178 0.1967
O34 0.4878 0.1686 0.2459
O35 0.4617 0.2960 0.0246
Na5 0.0100 0.0101 0.4947
S2 0.0006 0.2889 0.2513
O36 0.1525 0.6618 0.0753
Na6 0.3247 0.6593 0.1682
Nb6 0.3312 0.6758 0.3135
Nb7 0.3334 0.6630 0.5199
O37 0.1475 0.5023 0.5728
Mg4 0.6562 0.3228 0.1831
O38 0.9736 0.8117 0.0921
Na7 0.9784 0.3610 0.7472
Na8 0.9973 0.0068 0.9932
O39 0.6146 0.1183 0.1383
O40 0.5222 0.6871 0.9735
Si10 0.6261 0.9588 0.4168
O41 0.1668 0.4798 0.9714
Nb8 0.0108 0.0009 0.1450
Na9 0.9661 0.2884 0.4139
O42 0.0282 0.1929 0.9134
O43 0.8349 0.5355 0.0260
O44 0.1640 0.6922 0.4740
Si11 0.0432 0.3761 0.9151
Na10 0.3222 0.2897 0.9143
O45 0.6977 0.5314 0.5268
Na11 0.6598 0.9758 0.5868
Na12 0.3340 0.6709 0.6662
O46 0.1815 0.0168 0.5897
Si12 0.0397 0.6654 0.4173
Na13 0.6488 0.6317 0.7470
Si13 0.6695 0.0439 0.0857
O47 0.3472 0.8514 0.5735
O48 0.1696 0.9834 0.9132
S3 0.2881 0.2874 0.7513
O49 0.2122 0.1920 0.8058
O50 0.5035 0.3853 0.1398
Na14 0.0274 0.6889 0.5863
O51 0.1651 0.1940 0.4137
O52 0.4948 0.6297 0.8589
O53 0.9802 0.1909 0.3059
O54 0.6331 0.5137 0.6460
Na15 0.9643 0.6815 0.9102
O55 0.8313 0.5190 0.7461
O56 0.3052 0.8218 0.2563
O57 0.0273 0.8292 0.6928
O58 0.2999 0.4611 0.7532
Na16 0.6689 0.3256 0.8249
O59 0.6344 0.1440 0.4222
O60 0.5127 0.1464 0.9222
Si14 0.3013 0.0107 0.2544
Na17 0.3181 0.0346 0.4097
O61 0.4670 0.1620 0.5242
O62 0.4925 0.8624 0.3606
O63 0.2035 0.0172 0.3119
O64 0.8908 0.3823 0.6423
O65 0.0207 0.1976 0.1986
O66 0.8077 0.7946 0.3050
O67 0.5046 0.8504 0.0726
O68 0.1888 0.1620 0.0913
O69 0.1381 0.6306 0.3612
Na18 0.7170 0.0352 0.9108
O70 0.6322 0.4883 0.9232
Si15 0.3809 0.3374 0.0853
O71 0.8539 0.3134 0.2437
O72 0.8690 0.5039 0.1435

***

| no. | volume (Å³/cell) |
| --- | --- |
| 1 | 811 |
| 2 | 1613 |